Sr3Fe2Se6O18 | PBE with a Hubbard U | relaxed

extended XYZ file:
```
58
Lattice="13.649 -4.460 0.000 13.649 4.460 0.000 12.191 0.000 7.587" Properties=species:S:1:pos:R:3 pbc="T T T"
O 17.718 3.951 2.630
O 22.632 1.317 0.477
O 24.410 1.317 3.317
O 16.857 -1.317 7.110
O 18.577 1.584 3.245
O 28.736 0.094 3.834
O 24.842 -3.392 6.160
O 18.228 -0.516 5.061
O 15.676 -0.509 1.164
O 15.079 -1.317 4.270
O 23.814 0.509 6.423
O 21.771 -3.951 4.957
O 21.261 0.516 2.526
O 18.746 -1.068 2.367
O 14.647 3.392 1.426
O 24.673 2.876 7.038
O 30.951 -1.482 5.186
O 30.982 1.387 5.026
O 14.816 -2.876 0.549
O 15.245 1.826 3.404
O 8.538 1.482 2.401
O 20.743 1.068 5.220
O 24.244 -1.826 4.183
O 8.508 -1.387 2.561
O 11.206 1.482 1.393
O 20.912 -1.584 4.342
O 25.782 0.516 1.268
O 13.707 -0.516 6.319
O 8.992 -0.094 0.041
O 18.148 -2.634 0.389
O 11.237 -1.387 1.232
O 28.252 1.387 6.354
O 10.753 -0.094 3.753
O 30.497 0.094 7.546
O 21.341 2.634 7.197
O 28.283 -1.482 6.194
Fe 0.000 0.000 0.000
Fe 9.872 0.000 1.897
Fe 29.617 0.000 5.690
Fe 19.745 0.000 3.793
Se 18.513 3.205 3.922
Se 11.995 -2.547 2.326
Se 18.091 -1.914 6.120
Se 21.399 1.914 1.467
Se 20.976 -3.205 3.664
Se 19.138 -1.292 0.667
Se 12.417 1.255 0.129
Se 27.904 -1.292 3.126
Se 27.494 2.547 5.261
Se 11.585 1.292 4.461
Se 27.072 -1.255 7.458
Se 20.351 1.292 6.919
Sr 22.921 2.624 5.020
Sr 16.568 -2.624 2.567
Sr 15.968 0.788 5.690
Sr 22.664 -1.836 6.360
Sr 16.825 1.836 1.226
Sr 23.521 -0.788 1.897
```

- formation energy from the elements (eV/atom) = -1.91
- calculated volume (Å³ per cell) = 923.7
- spin magnetization (μB per atom) = 0.35

=====

Li3MnP2O8 | PBE with a Hubbard U | relaxed

extended XYZ file:
```
56
Lattice="18.351 0.000 0.000 0.000 4.837 0.000 0.000 4.489 6.454" Properties=species:S:1:pos:R:3 pbc="T T T"
Li 3.636 6.105 4.370
Li 5.540 3.861 1.143
Li 17.381 3.301 4.587
Li 11.407 3.478 0.018
Li 12.811 5.466 5.312
Li 10.146 1.056 1.360
Li 16.120 5.723 3.245
Li 2.232 3.603 3.209
Li 8.205 8.270 5.094
Li 6.944 5.848 6.436
Li 0.971 6.026 1.867
Li 14.716 3.221 2.084
O 3.740 4.006 4.614
O 1.273 5.269 3.714
O 15.200 7.344 3.928
O 7.903 3.024 0.487
O 1.220 5.161 6.245
O 5.554 7.042 4.324
O 6.025 4.227 5.753
O 17.131 4.165 0.209
O 12.916 7.565 5.067
O 12.797 2.284 2.130
O 3.151 1.982 2.526
O 5.435 1.761 1.387
O 14.730 4.528 5.357
O 3.621 4.798 1.097
O 10.448 6.302 5.968
O 5.750 4.505 3.229
O 17.165 1.902 1.428
O 7.990 5.179 1.799
O 17.079 4.057 2.741
O 10.362 4.147 4.655
O 3.426 2.261 0.002
O 17.504 5.991 4.933
O 12.327 5.100 0.701
O 0.847 3.335 1.521
O 8.329 5.580 4.748
O 12.601 4.821 3.225
O 1.186 7.424 5.026
O 14.611 5.321 1.840
O 14.926 7.065 6.452
O 7.956 2.917 3.018
O 10.023 3.746 1.706
O 10.396 6.410 3.436
Mn 11.505 3.206 3.336
Mn 16.022 0.961 0.109
Mn 6.847 6.120 3.118
Mn 2.329 8.365 6.345
P 0.706 5.910 4.967
P 9.882 5.661 4.714
P 5.269 3.748 4.521
P 8.469 3.665 1.740
P 17.645 3.417 1.487
P 3.907 1.504 1.294
P 14.445 7.823 5.160
P 13.082 5.578 1.933
```

- offset from the most stable computed form (eV per formula unit) = 0.158
- formation energy from the elements (eV/atom) = -2.59
- calculated volume (Å³ per cell) = 572.9
- spin magnetization (μB per atom) = 0.29

=====

BaSrEuVO6 | PBE with a Hubbard U | relaxed

extended XYZ file:
```
10
Lattice="-1.828 4.578 3.280 -5.444 -0.012 2.327 -0.721 -0.644 5.841" Properties=species:S:1:pos:R:3 pbc="T T T"
O -5.492 3.151 5.670
O -4.658 1.060 4.173
O -2.501 0.771 5.778
O -3.335 2.862 7.276
O -4.987 0.766 6.840
O -3.006 3.156 4.608
Ba -5.995 2.942 8.586
V -3.997 1.961 5.724
Sr -1.998 0.981 2.862
Eu 0.000 0.000 0.000
```

- formation energy from the elements (eV/atom) = -2.92
- calculated volume (Å³ per cell) = 146.8
- spin magnetization (μB per atom) = 0.60

=====

MgMn4O8 | PBE with a Hubbard U | relaxed

extended XYZ file:
```
13
Lattice="-2.915 2.931 4.413 2.915 -2.931 4.413 2.915 2.931 -4.413" Properties=species:S:1:pos:R:3 pbc="T T T"
O 1.619 0.000 0.270
O 1.601 2.931 -0.206
O 4.212 0.000 0.270
O 0.000 1.312 2.200
O 2.915 -1.251 2.213
O 2.915 1.619 -2.213
O 2.915 1.251 2.213
O 1.314 0.000 4.207
Mn 2.915 1.437 -0.002
Mn 4.340 0.000 2.190
Mn 0.000 1.493 4.411
Mn 1.490 0.000 2.190
Mg 0.000 2.931 1.004
```

- offset from the most stable computed form (eV per formula unit) = 0.034
- formation energy from the elements (eV/atom) = -2.07
- calculated volume (Å³ per cell) = 150.8
- spin magnetization (μB per atom) = 1.08

=====

Ba3MgNb2CoO9 | PBE with a Hubbard U | relaxed

extended XYZ file:
```
16
Lattice="6.047 -0.045 0.365 -3.062 5.215 -0.362 0.433 -0.254 7.559" Properties=species:S:1:pos:R:3 pbc="T T T"
O -1.906 4.546 1.919
O 1.065 4.475 2.310
O 3.384 3.110 5.275
O 3.358 -0.214 7.697
O 1.985 0.686 5.273
O 1.360 2.665 0.052
O 4.850 2.368 7.698
O -0.357 2.009 2.305
O 4.880 0.630 5.410
Co -1.672 4.415 3.850
Nb 3.427 1.469 6.403
Nb -0.228 3.579 1.086
Ba 2.767 1.850 2.334
Ba 6.377 -0.236 7.761
Ba 0.589 3.107 5.164
Mg 5.521 0.258 3.570
```

- offset from the most stable computed form (eV per formula unit) = 0.000
- formation energy from the elements (eV/atom) = -2.78
- calculated volume (Å³ per cell) = 236.3
- spin magnetization (μB per atom) = 0.06

=====

FeOF | PBE with a Hubbard U | relaxed

extended XYZ file:
```
54
Lattice="3.119 0.000 0.000 0.000 14.165 0.000 0.000 0.016 14.241" Properties=species:S:1:pos:R:3 pbc="T T T"
O 1.559 3.840 5.705
O 1.559 13.224 5.654
O 0.000 12.766 3.341
O 0.000 3.296 3.295
O 0.000 12.721 12.805
O 0.000 6.142 10.902
O 1.559 8.523 0.893
O 1.559 8.535 5.665
O 0.000 3.314 12.768
O 0.000 12.747 8.036
O 1.559 3.806 0.918
O 0.000 1.423 6.158
O 1.559 3.748 10.345
O 1.559 13.260 0.943
O 1.559 8.580 10.465
O 0.000 8.026 3.276
O 0.000 8.001 8.059
O 1.559 13.267 10.402
F 0.000 10.899 10.933
F 1.559 5.726 13.341
F 0.000 10.886 1.450
F 0.000 10.878 6.168
F 0.000 6.181 6.166
F 0.000 1.446 1.416
F 0.000 8.027 12.793
F 1.559 0.942 13.299
F 1.559 5.665 3.802
F 1.559 10.352 13.308
F 0.000 3.268 8.022
F 1.559 5.602 8.485
F 1.559 0.947 3.745
F 0.000 1.435 10.943
F 1.559 0.982 8.597
F 1.559 10.384 8.556
F 1.559 10.384 3.809
F 0.000 6.165 1.438
Fe 0.000 13.981 0.051
Fe 1.559 2.288 6.901
Fe 1.559 7.025 11.641
Fe 0.000 14.003 9.509
Fe 0.000 9.279 9.531
Fe 0.000 4.527 4.798
Fe 1.559 12.015 7.140
Fe 1.559 7.253 2.424
Fe 1.559 2.544 2.418
Fe 0.000 14.078 4.861
Fe 1.559 7.273 7.151
Fe 0.000 9.352 0.121
Fe 0.000 4.531 0.037
Fe 1.559 12.029 11.885
Fe 1.559 2.552 11.891
Fe 1.559 12.066 2.489
Fe 0.000 9.282 4.787
Fe 0.000 4.642 9.619
```

- formation energy from the elements (eV/atom) = -2.05
- calculated volume (Å³ per cell) = 629.1
- spin magnetization (μB per atom) = 1.67

=====

Ca3Mn2WO9 | PBE with a Hubbard U | relaxed

extended XYZ file:
```
60
Lattice="-1.186 -5.411 -0.744 7.679 -1.579 -0.761 8.674 -4.009 15.321" Properties=species:S:1:pos:R:3 pbc="T T T"
O 1.450 -3.023 -0.149
O 5.835 -1.816 2.682
O 4.098 -2.087 0.603
O 6.678 -5.548 0.316
O 11.413 -5.347 7.882
O 10.896 -8.095 7.902
O 11.671 -6.031 13.056
O 5.897 -5.604 9.260
O 7.420 -6.574 2.896
O 5.520 -4.788 3.803
O 14.139 -4.976 12.549
O 3.320 -2.831 3.203
O 8.489 -5.451 13.500
O 9.648 -6.210 10.013
O 7.919 -3.847 2.770
O 7.747 -4.424 10.920
O 7.249 -7.152 11.046
O 8.297 -4.724 8.176
O 9.270 -5.395 4.556
O 11.847 -8.168 10.613
O 3.754 -5.652 5.934
O 7.961 -8.252 13.513
O 7.207 -2.747 0.303
O 7.738 -7.410 8.360
O 9.333 -9.183 11.134
O 7.429 -3.589 5.456
O 13.717 -7.976 13.965
O 6.871 -6.275 5.640
O 8.853 -8.375 5.974
O 2.794 -5.685 3.311
O 4.271 -2.903 5.914
O 1.029 -6.023 1.266
O 3.497 -4.968 0.760
O 12.373 -5.314 10.504
O 11.070 -8.911 13.213
O 6.314 -2.624 7.842
Mn 6.674 -7.363 1.180
Mn 3.578 -4.270 4.613
Mn -0.593 -2.706 -0.372
Mn 3.247 -3.495 -0.752
Mn 8.494 -3.635 12.636
Mn 4.337 -2.004 7.660
Mn 8.177 -2.794 7.280
Mn 11.590 -6.729 9.203
W 12.320 -4.401 12.237
W 2.847 -6.598 1.579
W 7.397 -5.070 4.209
W 7.770 -5.929 9.607
Ca 5.219 -7.963 9.393
Ca 9.948 -3.036 4.423
Ca 9.668 -7.010 12.242
Ca 4.870 -7.111 4.292
Ca 1.374 -3.716 2.041
Ca 13.794 -7.283 11.775
Ca 5.499 -3.988 1.574
Ca 4.785 -6.340 -1.236
Ca 10.383 -4.659 15.052
Ca 5.581 -4.774 7.100
Ca 10.298 -3.888 9.524
Ca 9.586 -6.225 6.716
```

- formation energy from the elements (eV/atom) = -2.70
- calculated volume (Å³ per cell) = 717.4
- spin magnetization (μB per atom) = 0.53

=====

Ga2WO6 | PBE with a Hubbard U | relaxed

extended XYZ file:
```
36
Lattice="4.803 0.000 0.000 0.000 7.229 0.000 0.000 0.785 11.492" Properties=species:S:1:pos:R:3 pbc="T T T"
W 1.280 2.327 6.943
W 1.280 6.080 10.295
W 3.523 1.934 1.197
W 3.523 5.687 4.549
O 4.458 7.427 4.259
O 2.440 1.952 8.728
O 0.345 0.587 7.232
O 2.095 6.390 5.433
O 4.785 5.146 3.013
O 0.018 2.868 8.479
O 4.785 2.475 2.733
O 2.097 4.280 10.037
O 2.440 6.454 8.509
O 0.270 2.763 5.504
O 2.363 6.062 2.764
O 2.708 6.782 11.179
O 2.095 1.232 0.313
O 4.533 5.251 5.988
O 4.533 3.155 11.249
O 4.458 0.195 1.486
O 2.705 3.887 4.291
O 2.708 1.624 6.059
O 2.363 1.560 2.982
O 0.270 4.859 0.242
O 0.018 5.539 8.759
O 2.097 4.127 7.201
O 2.705 3.735 1.455
O 0.345 7.819 10.005
Ga 3.641 5.566 1.360
Ga 3.641 2.055 4.386
Ga 1.162 5.959 7.106
Ga 1.162 2.448 10.132
Ga 1.010 0.196 2.873
Ga 1.382 3.811 2.873
Ga 3.793 0.588 8.619
Ga 3.420 4.203 8.619
```

- offset from the most stable computed form (eV per formula unit) = 0.444
- formation energy from the elements (eV/atom) = -2.14
- calculated volume (Å³ per cell) = 399.0
- spin magnetization (μB per atom) = 0.00

=====

MgMn4H2O8 | PBE with a Hubbard U | relaxed

extended XYZ file:
```
15
Lattice="10.005 0.000 -0.034 0.000 2.969 0.000 -0.012 0.000 5.365" Properties=species:S:1:pos:R:3 pbc="T T T"
H 4.490 0.742 4.927
H 0.525 0.742 3.412
O 4.511 0.742 3.946
O 9.550 0.742 3.456
O 7.881 0.742 0.981
O 7.163 2.227 3.310
O 2.573 0.742 2.190
O 0.297 2.227 0.793
O 2.317 2.227 4.690
O 5.045 2.227 1.781
Mg 8.863 2.227 2.164
Mn 1.510 0.742 0.321
Mn 3.459 2.227 3.065
Mn 6.196 0.742 2.401
Mn 8.429 2.227 4.933
```

- offset from the most stable computed form (eV per formula unit) = 0.000
- formation energy from the elements (eV/atom) = -1.90
- calculated volume (Å³ per cell) = 159.3
- spin magnetization (μB per atom) = 1.07

=====

What is the formula in the first record? Sr3Fe2Se6O18